Computed, not measured: a relaxed TaAlP2SO12 crystal at the PBE level of DFT.

Values from the calculation:
MP2020-corrected energy   -8.065 eV/atom
E_tot   -0.5571 Ry/atom
Volume   13.7 A^3/atom
Formation energy   -2.774 eV per atom

abc: 8.543 8.577 22.027
angles: 89.79 90.00 119.87
Fractional positions:
S (0.654, 0.042, 0.084)
S (0.721, 0.708, 0.251)
S (0.321, 0.375, 0.418)
S (0.054, 0.375, 0.918)
S (0.387, 0.042, 0.584)
S (0.988, 0.708, 0.751)
O (0.363, 0.490, 0.362)
O (0.626, 0.491, 0.640)
O (0.303, 0.462, 0.760)
O (0.532, 0.824, 0.474)
O (0.978, 0.180, 0.592)
O (0.508, 0.375, 0.140)
O (0.804, 0.974, 0.694)
O (0.493, 0.129, 0.927)
O (0.629, 0.126, 0.138)
O (0.503, 0.640, 0.861)
O (0.356, 0.857, 0.861)
O (0.689, 0.524, 0.528)
O (0.170, 0.974, 0.194)
O (0.477, 0.180, 0.239)
O (0.701, 0.532, 0.242)
O (0.311, 0.847, 0.258)
O (0.160, 0.462, 0.260)
O (0.199, 0.158, 0.807)
O (0.826, 0.795, 0.593)
O (0.164, 0.459, 0.971)
O (0.030, 0.824, 0.696)
O (0.962, 0.792, 0.805)
O (0.809, 0.967, 0.406)
O (0.168, 0.190, 0.694)
O (0.485, 0.354, 0.425)
O (0.810, 0.847, 0.905)
O (0.034, 0.199, 0.909)
O (0.142, 0.633, 0.073)
O (0.536, 0.847, 0.758)
O (0.370, 0.514, 0.072)
O (0.203, 0.021, 0.592)
O (0.137, 0.640, 0.361)
O (0.704, 0.180, 0.739)
O (0.175, 0.708, 0.473)
O (0.492, 0.633, 0.573)
O (0.475, 0.300, 0.739)
O (0.644, 0.513, 0.925)
O (0.200, 0.042, 0.307)
O (0.158, 0.967, 0.906)
O (0.636, 0.129, 0.427)
O (0.834, 0.524, 0.028)
O (0.533, 0.708, 0.973)
O (0.842, 0.042, 0.807)
O (0.152, 0.688, 0.758)
O (0.959, 0.158, 0.307)
O (0.696, 0.157, 0.029)
O (0.869, 0.354, 0.925)
O (0.969, 0.795, 0.093)
O (0.023, 0.190, 0.194)
O (0.866, 0.491, 0.140)
O (0.164, 0.199, 0.409)
O (0.869, 0.513, 0.425)
O (0.292, 0.824, 0.974)
O (0.461, 0.157, 0.529)
O (0.498, 0.865, 0.075)
O (0.818, 0.021, 0.092)
O (0.368, 0.865, 0.575)
O (0.144, 0.514, 0.572)
O (0.497, 0.126, 0.638)
O (0.536, 0.688, 0.258)
O (0.470, 0.307, 0.028)
O (0.867, 0.375, 0.640)
O (0.825, 0.300, 0.239)
O (0.037, 0.847, 0.405)
O (0.295, 0.459, 0.471)
O (0.831, 0.532, 0.742)
O (0.202, 0.180, 0.092)
O (0.794, 0.824, 0.196)
O (0.837, 0.307, 0.528)
O (0.830, 0.792, 0.305)
O (0.501, 0.857, 0.361)
O (0.127, 0.490, 0.862)
P (0.727, 0.022, 0.752)
P (0.650, 0.607, 0.585)
P (0.290, 0.273, 0.752)
P (0.628, 0.689, 0.919)
P (0.961, 0.355, 0.585)
P (0.983, 0.273, 0.252)
P (0.295, 0.022, 0.252)
P (0.624, 0.940, 0.418)
P (0.394, 0.355, 0.085)
P (0.957, 0.607, 0.085)
P (0.061, 0.689, 0.419)
P (0.316, 0.940, 0.918)
Ta (0.994, 0.004, 0.641)
Ta (0.010, 0.004, 0.141)
Ta (0.660, 0.337, 0.974)
Ta (0.677, 0.337, 0.474)
Ta (0.327, 0.670, 0.307)
Ta (0.343, 0.670, 0.807)
Al (0.334, 0.671, 0.022)
Al (0.667, 0.337, 0.689)
Al (0.000, 0.004, 0.356)
Al (0.670, 0.337, 0.189)
Al (0.004, 0.004, 0.856)
Al (0.337, 0.671, 0.522)